Record 1
# HoUTe4, relaxed, DFT GGA-PBE
# symmetry: Imm2, No. 44
data_HoUTe4
_chemical_formula_sum 'Ho1 U1 Te4'
_space_group_name_H-M_alt 'P 1'
_space_group_IT_number 1
_space_group_name_Hall 'P 1'
_cell_length_a 7.9736
_cell_length_b 7.9736
_cell_length_c 7.9736
_cell_angle_alpha 149.49
_cell_angle_beta 135.06
_cell_angle_gamma 55.29
loop_
_atom_site_label
_atom_site_type_symbol
_atom_site_fract_x
_atom_site_fract_y
_atom_site_fract_z
Ho1 Ho 0.0000 0.0000 0.0000
U1 U 0.2756 0.2756 0.0000
Te1 Te 0.3877 0.6399 0.7477
Te2 Te 0.4336 0.9336 0.5000
Te3 Te 0.8419 0.3419 0.5000
Te4 Te 0.8922 0.6399 0.2523

---

Record 2
# Ho3Th, relaxed, DFT GGA-PBE
# symmetry: P6_3/mmc, No. 194
data_Ho3Th
_chemical_formula_sum 'Ho6 Th2'
_space_group_name_H-M_alt 'P 1'
_space_group_IT_number 1
_space_group_name_Hall 'P 1'
_cell_length_a 7.1204
_cell_length_b 7.1204
_cell_length_c 5.7879
_cell_angle_alpha 90.00
_cell_angle_beta 90.00
_cell_angle_gamma 120.00
loop_
_atom_site_label
_atom_site_type_symbol
_atom_site_fract_x
_atom_site_fract_y
_atom_site_fract_z
Ho1 Ho 0.1666 0.3332 0.2500
Ho2 Ho 0.1666 0.8334 0.2500
Ho3 Ho 0.3332 0.1666 0.7500
Ho4 Ho 0.6668 0.8334 0.2500
Ho5 Ho 0.8334 0.1666 0.7500
Ho6 Ho 0.8334 0.6668 0.7500
Th1 Th 0.3333 0.6667 0.7500
Th2 Th 0.6667 0.3333 0.2500

---

Number 1: calculated volume 181 Å³/cell, calculated formation energy -28.08 kcal/mol of atoms, VASP energy -5.678 eV/atom. Number 2: calculated volume 254 Å³/cell, calculated formation energy 1.16 kcal/mol of atoms, VASP energy -5.240 eV/atom.